Crystalline Li2MnSnP2O8 at its relaxed geometry. Source: the Materials Project database, functional PBE with a Hubbard U.

Computed properties:
Its crystal system is monoclinic. As for the total DFT energy (no corrections): -190.33 eV for the cell shown.

Cell: 4.8817 6.5240 11.0273 Å, 90.00 91.39 90.00°
Space group P2_1/m (No. 11)
Asymmetric unit:
Li: 0.0000 0.0000 0.0000 [2 per cell]
Li: 0.5000 0.0000 0.5000 [2 per cell]
Mn: 0.0573 0.2500 0.7119 [2 per cell]
Sn: 0.4703 0.2500 0.2197 [2 per cell]
P: 0.0855 0.7500 0.5768 [2 per cell]
P: 0.3578 0.7500 0.1039 [2 per cell]
O: 0.2094 0.5572 0.6454 [4 per cell]
O: 0.2102 0.7500 0.4480 [2 per cell]
O: 0.2176 0.5605 0.1648 [4 per cell]
O: 0.2303 0.2500 0.4260 [2 per cell]
O: 0.2535 0.7500 0.9691 [2 per cell]
O: 0.3290 0.2500 0.8794 [2 per cell]

=====

Crystalline K2CrH5C4S4N4O3 at its relaxed geometry. Source: the Materials Project database, functional PBE with a Hubbard U.

Computed properties:
Its crystal system is triclinic. As for the total DFT energy (no corrections): -564.55 eV for the cell shown.

Cell: 10.7210 12.9843 13.0995 Å, 66.83 85.29 78.72°
Space group P-1 (No. 2)
Asymmetric unit:
K: 0.0300 0.2769 0.0202 [2 per cell]
K: 0.1800 0.9246 0.6411 [2 per cell]
K: 0.2768 0.8076 0.1733 [2 per cell]
K: 0.4588 0.3896 0.3356 [2 per cell]
Cr: 0.1069 0.4259 0.4589 [2 per cell]
Cr: 0.3970 0.0964 0.0136 [2 per cell]
H: 0.0075 0.2005 0.8100 [2 per cell]
H: 0.0238 0.6681 0.2566 [2 per cell]
H: 0.0437 0.2339 0.2885 [2 per cell]
H: 0.0783 0.6762 0.7569 [2 per cell]
H: 0.1034 0.4620 0.6372 [2 per cell]
H: 0.3599 0.5879 0.0881 [2 per cell]
H: 0.3973 0.8575 0.4865 [2 per cell]
H: 0.4773 0.0727 0.8329 [2 per cell]
H: 0.4797 0.8724 0.5695 [2 per cell]
H: 0.4855 0.6070 0.1217 [2 per cell]
C: 0.0500 0.7746 0.4692 [2 per cell]
C: 0.1620 0.4449 0.2075 [2 per cell]
C: 0.1778 0.0183 0.9224 [2 per cell]
C: 0.2839 0.1181 0.2340 [2 per cell]
C: 0.2899 0.3540 0.8454 [2 per cell]
C: 0.3080 0.2033 0.5905 [2 per cell]
C: 0.3164 0.5839 0.4224 [2 per cell]
C: 0.4230 0.7848 0.9032 [2 per cell]
S: 0.0687 0.9935 0.8613 [2 per cell]
S: 0.1133 0.8879 0.4113 [2 per cell]
S: 0.1819 0.4668 0.0773 [2 per cell]
S: 0.2493 0.4837 0.7571 [2 per cell]
S: 0.2705 0.1355 0.3499 [2 per cell]
S: 0.3520 0.7094 0.8615 [2 per cell]
S: 0.3894 0.0803 0.6639 [2 per cell]
S: 0.4311 0.6541 0.4028 [2 per cell]
N: 0.0046 0.6915 0.5131 [2 per cell]
N: 0.1505 0.4284 0.3034 [2 per cell]
N: 0.2329 0.5320 0.4338 [2 per cell]
N: 0.2499 0.2931 0.5341 [2 per cell]
N: 0.2561 0.0384 0.9673 [2 per cell]
N: 0.2908 0.1066 0.1477 [2 per cell]
N: 0.3202 0.2590 0.9101 [2 per cell]
N: 0.4727 0.8384 0.9379 [2 per cell]
O: 0.0343 0.7510 0.7533 [2 per cell]
O: 0.0387 0.4413 0.6032 [2 per cell]
O: 0.0404 0.7289 0.1848 [2 per cell]
O: 0.4007 0.5932 0.1498 [2 per cell]
O: 0.4106 0.8343 0.5662 [2 per cell]
O: 0.4788 0.9325 0.1017 [2 per cell]

=====

Crystalline KMgNiIO6 at its relaxed geometry. Source: the Materials Project database, functional PBE with a Hubbard U.

Computed properties:
The energy above the most stable polymorph in this dataset is 0 meV per atom. Its crystal system is trigonal.

Cell: 5.2439 5.2439 6.4982 Å, 90.00 90.00 120.00°
Space group P312 (No. 149)
Asymmetric unit:
K: 0.0000 0.0000 0.0000 [1 per cell]
Mg: 0.0000 0.0000 0.5000 [1 per cell]
Ni: 0.3333 0.6667 0.5000 [1 per cell]
I: 0.6667 0.3333 0.5000 [1 per cell]
O: 0.3601 0.0275 0.6612 [6 per cell]

=====

Crystalline Pr5Ti4FeO17 at its relaxed geometry. Source: the Materials Project database, functional PBE with a Hubbard U.

Computed properties:
Its crystal system is monoclinic. As for the total DFT energy (no corrections): -918.71 eV for the cell shown.

Cell: 7.7865 5.5406 32.1589 Å, 90.00 97.00 90.00°
Space group P2_1/c (No. 14)
Asymmetric unit:
Pr: 0.1435 0.1133 0.2793 [4 per cell]
Pr: 0.2112 0.5186 0.4198 [4 per cell]
Pr: 0.2546 0.5078 0.0073 [4 per cell]
Pr: 0.2989 0.0011 0.0955 [4 per cell]
Pr: 0.3545 0.5454 0.2004 [4 per cell]
Ti: 0.0451 0.5157 0.0931 [4 per cell]
Ti: 0.0760 0.0436 0.1762 [4 per cell]
Ti: 0.4091 0.5542 0.3212 [4 per cell]
Ti: 0.4538 0.0128 0.4059 [4 per cell]
Fe: 0.0000 0.0000 0.0000 [2 per cell]
Fe: 0.5000 0.0000 0.0000 [2 per cell]
O: 0.0271 0.7102 0.9629 [4 per cell]
O: 0.0366 0.2020 0.1198 [4 per cell]
O: 0.0646 0.7192 0.5519 [4 per cell]
O: 0.0821 0.1884 0.7111 [4 per cell]
O: 0.1275 0.7136 0.1375 [4 per cell]
O: 0.1324 0.6729 0.7204 [4 per cell]
O: 0.1651 0.0438 0.8293 [4 per cell]
O: 0.2044 0.0773 0.4088 [4 per cell]
O: 0.2483 0.0824 0.9970 [4 per cell]
O: 0.2910 0.0706 0.5822 [4 per cell]
O: 0.3371 0.1079 0.1707 [4 per cell]
O: 0.3701 0.6626 0.7959 [4 per cell]
O: 0.4068 0.1548 0.7743 [4 per cell]
O: 0.4176 0.6986 0.3809 [4 per cell]
O: 0.4368 0.7102 0.9633 [4 per cell]
O: 0.4880 0.7186 0.5524 [4 per cell]
O: 0.4916 0.2084 0.3615 [4 per cell]